# NiPC5O2 GGA+U optimized geometry
data_NiPC5O2
_cell_length_a 7.130
_cell_length_b 12.191
_cell_length_c 12.065
_cell_angle_alpha 90.00
_cell_angle_beta 119.74
_cell_angle_gamma 90.00
_symmetry_space_group_name_H-M 'P 1 21/c 1'
_symmetry_Int_Tables_number 14
loop_
_symmetry_equiv_pos_as_xyz
'x,y,z'
'-x,-y,-z'
'-x,y+1/2,-z+1/2'
'x,-y+1/2,z+1/2'
loop_
_atom_site_label
_atom_site_type_symbol
_atom_site_fract_x
_atom_site_fract_y
_atom_site_fract_z
Ni1 Ni 0.183 0.052 0.238
P1 P 0.405 0.237 0.949
C1 C 0.075 0.040 0.991
C2 C 0.275 0.736 0.960
C3 C 0.295 0.139 0.369
C4 C 0.349 0.747 0.585
C5 C 0.491 0.668 0.658
O1 O 0.049 0.049 0.879
O2 O 0.212 0.091 0.089
# **Spin magnetization**: 0.22 μB per atom
# **Distance to the lowest polymorph of the same formula**: 726 meV per atom
# **Density**: 1.326 g cm⁻³
# **Final energy**: -6.0268 eV/atom
# **DFT formation energy**: 1.008 eV/atom